PrMgAu2 | r²SCAN | optimized geometry

Structure (POSCAR):
```
PrMgAu2
1.0
0.0000 3.5471 3.5471
3.5471 0.0000 3.5471
3.5471 3.5471 0.0000
Pr Mg Au
1 1 2
Direct
0.0000 0.0000 0.0000
0.5000 0.5000 0.5000
0.2500 0.2500 0.2500
0.7500 0.7500 0.7500
```

## Properties
**Energy relative to the elements**: -0.751 eV/atom